Record 1
## NaLaSnP2SO12 (GGA-PBE)

Data for NaLaSnP2SO12 after structural relaxation.

```
NaLaSnP2SO12
1.0
-8.170 2.955 2.907
2.461 -8.772 1.398
9.301 5.308 20.747
Sn O La P Na S
6 72 6 12 6 6
Cartesian
-0.934 -4.805 2.272
1.722 2.642 16.606
3.723 -2.154 12.643
-2.921 -0.014 6.230
3.249 1.827 7.287
7.906 4.478 17.658
1.878 -1.076 9.148
7.546 -1.975 20.036
6.295 0.532 22.791
4.809 -2.262 18.505
5.863 1.167 12.605
-1.141 -3.180 3.575
-1.953 -2.780 9.775
-0.349 2.671 16.378
-1.126 0.887 6.821
0.352 -0.261 18.467
4.337 1.982 21.925
9.709 -3.102 20.662
8.774 -1.370 22.201
6.167 -4.870 14.215
-0.309 -0.937 2.772
3.256 0.910 9.306
5.269 0.231 20.456
-0.927 -5.722 4.291
2.180 4.717 22.136
-2.309 -1.150 8.035
-3.050 -5.872 5.466
6.125 3.397 17.617
-1.255 3.119 10.770
1.177 1.856 7.059
8.517 3.343 19.462
-5.742 2.305 7.210
0.902 0.165 13.623
-3.551 1.607 4.818
0.151 1.556 4.724
1.729 1.725 18.626
1.567 0.283 20.551
-5.438 -3.513 5.755
3.065 -0.962 14.249
4.335 -3.289 14.448
1.680 -5.466 7.590
-4.515 2.910 9.375
1.943 -3.235 12.603
-4.766 1.064 2.735
5.518 -1.252 13.234
3.992 -0.437 22.554
5.503 -5.319 9.988
1.132 0.761 10.481
1.455 3.150 12.550
1.049 -4.568 2.938
-0.041 5.961 16.820
7.777 -1.379 16.894
-0.477 -3.753 12.258
-1.835 -0.122 12.092
3.093 -0.532 11.231
-4.701 -1.095 6.190
-2.728 -3.482 7.535
-3.579 1.178 7.836
3.946 -3.627 8.899
1.515 4.268 17.910
-1.809 -1.136 4.870
5.277 2.655 15.317
5.389 0.980 17.183
3.706 2.879 17.273
-5.549 -1.837 3.890
4.835 -3.276 11.283
8.873 1.713 21.203
8.099 1.010 18.963
2.454 -2.295 6.199
0.847 6.311 19.204
2.130 0.770 15.788
1.095 -3.977 10.303
-1.375 2.370 14.043
5.110 5.153 20.533
-0.477 -2.730 7.802
2.229 3.853 14.790
-2.698 -1.487 2.486
0.928 -1.480 15.518
1.835 -3.291 8.258
1.229 0.738 2.949
6.347 -0.586 18.682
-0.297 1.553 12.269
4.492 4.157 22.593
-2.152 6.297 16.180
-4.948 1.767 8.373
1.696 -0.373 14.786
1.151 5.798 17.736
5.157 2.448 16.806
-5.670 -2.045 5.378
0.974 -4.184 11.791
-1.506 -1.650 3.402
8.340 -2.513 21.199
5.138 -3.790 9.815
-0.128 1.924 6.163
4.990 0.600 21.896
-1.654 2.739 15.483
3.249 3.538 19.431
-1.708 0.996 9.167
0.593 -3.909 5.097
-0.933 -3.094 14.416
11.580 -3.284 21.993
4.936 -1.144 15.580
8.967 1.917 19.707
2.308 -0.011 10.048
-4.336 2.129 3.635
-1.860 -2.576 8.280
0.782 0.804 19.368
2.323 4.057 13.294
```

**M_tot**: 0.000 μB per formula unit
**ΔH_f (0 K)**: -46.81 eV per formula unit
**Electronic total energy**: -6.84 eV/atom

Record 2
## Ba8ZrNb19O36 (GGA-PBE)

Data for Ba8ZrNb19O36 after structural relaxation.

```
Ba8ZrNb19O36
1.0
4.231 0.000 0.000
0.000 4.231 0.000
0.000 0.000 49.784
Ba Zr Nb O
8 1 19 36
Cartesian
0.000 0.000 2.084
0.000 0.000 10.354
0.000 0.000 14.537
0.000 0.000 22.801
0.000 0.000 26.984
0.000 0.000 35.248
0.000 0.000 39.431
0.000 0.000 47.700
2.115 2.115 0.000
0.000 2.115 6.232
0.000 2.115 18.669
0.000 2.115 31.116
0.000 2.115 43.552
2.115 0.000 6.232
2.115 0.000 18.669
2.115 0.000 31.116
2.115 0.000 43.552
2.115 2.115 4.208
2.115 2.115 8.253
2.115 2.115 12.446
2.115 2.115 16.642
2.115 2.115 20.695
2.115 2.115 24.892
2.115 2.115 29.089
2.115 2.115 33.142
2.115 2.115 37.339
2.115 2.115 41.531
2.115 2.115 45.577
0.000 0.000 6.235
0.000 0.000 18.669
0.000 0.000 31.115
0.000 0.000 43.549
0.000 2.115 0.000
0.000 2.115 4.107
0.000 2.115 8.367
0.000 2.115 12.447
0.000 2.115 16.534
0.000 2.115 20.804
0.000 2.115 24.892
0.000 2.115 28.980
0.000 2.115 33.250
0.000 2.115 37.337
0.000 2.115 41.417
0.000 2.115 45.677
2.115 0.000 0.000
2.115 0.000 4.107
2.115 0.000 8.367
2.115 0.000 12.447
2.115 0.000 16.534
2.115 0.000 20.804
2.115 0.000 24.892
2.115 0.000 28.980
2.115 0.000 33.250
2.115 0.000 37.337
2.115 0.000 41.417
2.115 0.000 45.677
2.115 2.115 2.105
2.115 2.115 10.439
2.115 2.115 14.456
2.115 2.115 22.884
2.115 2.115 26.900
2.115 2.115 35.329
2.115 2.115 39.345
2.115 2.115 47.679
```

**SG**: P4/mmm, No. 123
**M_tot**: 0.335 μB per formula unit
**ΔH_f (0 K)**: -186.26 eV per formula unit
**Electronic total energy**: -8.68 eV/atom